U2S3 after structural relaxation, computed with PBE.

abc: 10.5098 3.8041 10.4454
angles: 90.00 90.00 90.00
Last column: nearest neighbours and their distance in Å.
Space group Pnma (No. 62)
Asymmetric unit:
U1 0.0103 0.2500 0.1828 (multiplicity 4)  7 S 2.74-2.78
U2 0.1866 0.2500 0.5093 (multiplicity 4)  7 S 2.79-2.82
S1 0.0517 0.7500 0.3694 (multiplicity 4)  5 U 2.76-2.81
S2 0.1267 0.2500 0.9456 (multiplicity 4)  5 U 2.74-2.81
S3 0.2262 0.7500 0.7044 (multiplicity 4)  4 U 2.75-2.82

Output
The value obtained for the total energy after the MP2020 corrections is -8.77 eV/atom. Its crystal system is orthorhombic.

=====

Nb3Cu after structural relaxation, computed with PBE.

abc: 6.4770 6.4770 6.4770
angles: 90.00 90.00 90.00
Last column: nearest neighbours and their distance in Å.
Space group Fm-3m (No. 225)
Asymmetric unit:
Nb1 0.0000 0.0000 0.0000 (multiplicity 4)  8 Nb 2.80
Nb2 0.2500 0.2500 0.2500 (multiplicity 8)  4 Nb 2.80, 4 Cu 2.80
Cu1 0.0000 0.0000 0.5000 (multiplicity 4)  8 Nb 2.80

Output
Its crystal system is cubic.

=====

Number 1: ΔH_f (0 K) -1.776 eV per atom. Number 2: ΔH_f (0 K) 0.171 eV per atom.